Below is crystalline LaSnPd at its relaxed geometry, with properties calculated at the meta-GGA r2SCAN level.

Summary:
volume	216.4	Å³ per cell
electronic total energy	-26.809	eV per atom

a b c (Å): 7.699 7.699 4.216
angles (deg): 90.00 90.00 120.00
Positions (direct):
La: 0.000 0.585 0.000
La: 0.415 0.415 0.000
La: 0.585 0.000 0.000
Sn: 0.000 0.247 0.500
Sn: 0.247 0.000 0.500
Sn: 0.753 0.753 0.500
Pd: 0.000 0.000 0.000
Pd: 0.333 0.667 0.500
Pd: 0.667 0.333 0.500